Record 1
A plane-wave DFT calculation with meta-GGA r2SCAN was carried out for crystalline SnI2 at its relaxed geometry.

Its total magnetization is 0.00 μB per formula unit. For the formation energy, the calculation gives -1.55 eV/f.u.

Lattice parameters (Å, degrees): 4.491 7.614 11.102 91.70 90.17 107.14
Sites, in units of the cell vectors:
Sn 0.000 0.000 0.000
Sn 0.267 0.537 0.312
Sn 0.733 0.463 0.688
I 0.083 0.165 0.734
I 0.356 0.713 0.921
I 0.357 0.717 0.560
I 0.643 0.283 0.440
I 0.644 0.287 0.079
I 0.917 0.835 0.266


Record 2
A plane-wave DFT calculation with meta-GGA r2SCAN was carried out for crystalline NaAsO2 at its relaxed geometry.

Its total magnetization is 0.00 μB per formula unit. For the formation energy, the calculation gives -6.59 eV/f.u.

Lattice parameters (Å, degrees): 5.037 14.816 6.756 90.00 90.00 90.00
Sites, in units of the cell vectors:
Na 0.239 0.198 0.102
Na 0.239 0.302 0.602
Na 0.261 0.698 0.102
Na 0.261 0.802 0.602
Na 0.739 0.198 0.398
Na 0.739 0.302 0.898
Na 0.761 0.698 0.398
Na 0.761 0.802 0.898
As 0.242 0.582 0.601
As 0.242 0.918 0.101
As 0.258 0.082 0.601
As 0.258 0.418 0.101
As 0.742 0.582 0.899
As 0.742 0.918 0.399
As 0.758 0.082 0.899
As 0.758 0.418 0.399
O 0.070 0.131 0.810
O 0.070 0.369 0.310
O 0.201 0.164 0.430
O 0.201 0.336 0.930
O 0.299 0.664 0.430
O 0.299 0.836 0.930
O 0.430 0.631 0.810
O 0.430 0.869 0.310
O 0.570 0.131 0.690
O 0.570 0.369 0.190
O 0.701 0.164 0.070
O 0.701 0.336 0.570
O 0.799 0.664 0.070
O 0.799 0.836 0.570
O 0.930 0.631 0.690
O 0.930 0.869 0.190


Record 3
A plane-wave DFT calculation with meta-GGA r2SCAN was carried out for crystalline Hf6FeSb2 at its relaxed geometry.

Its total magnetization is 1.32 μB per formula unit. For the formation energy, the calculation gives -3.91 eV/f.u.

Lattice parameters (Å, degrees): 7.704 7.704 3.587 90.00 90.00 120.00
Sites, in units of the cell vectors:
Hf 0.000 0.240 0.000
Hf 0.000 0.604 0.500
Hf 0.240 0.000 0.000
Hf 0.396 0.396 0.500
Hf 0.604 0.000 0.500
Hf 0.760 0.760 0.000
Fe 0.000 0.000 0.500
Sb 0.333 0.667 0.000
Sb 0.667 0.333 0.000


Record 4
A plane-wave DFT calculation with meta-GGA r2SCAN was carried out for crystalline BaUO4 at its relaxed geometry.

Its total magnetization is 0.00 μB per formula unit. For the formation energy, the calculation gives -20.78 eV/f.u.

Lattice parameters (Å, degrees): 5.833 8.152 8.242 90.00 90.00 90.00
Sites, in units of the cell vectors:
Ba 0.019 0.195 0.250
Ba 0.019 0.305 0.750
Ba 0.981 0.695 0.250
Ba 0.981 0.805 0.750
U 0.500 0.000 0.000
U 0.500 0.000 0.500
U 0.500 0.500 0.000
U 0.500 0.500 0.500
O 0.205 0.575 0.568
O 0.205 0.575 0.932
O 0.205 0.925 0.068
O 0.205 0.925 0.432
O 0.354 0.250 0.000
O 0.354 0.250 0.500
O 0.384 0.526 0.250
O 0.384 0.974 0.750
O 0.616 0.026 0.250
O 0.616 0.474 0.750
O 0.646 0.750 0.000
O 0.646 0.750 0.500
O 0.795 0.075 0.568
O 0.795 0.075 0.932
O 0.795 0.425 0.068
O 0.795 0.425 0.432


Record 5
A plane-wave DFT calculation with meta-GGA r2SCAN was carried out for crystalline SO3 at its relaxed geometry.

Its total magnetization is 0.00 μB per formula unit. For the formation energy, the calculation gives -4.51 eV/f.u.

Lattice parameters (Å, degrees): 10.736 12.304 5.168 90.00 90.00 90.00
Sites, in units of the cell vectors:
S 0.128 0.082 0.000
S 0.140 0.649 0.283
S 0.194 0.423 0.333
S 0.306 0.923 0.833
S 0.360 0.149 0.783
S 0.372 0.582 0.500
S 0.628 0.418 0.000
S 0.640 0.851 0.283
S 0.694 0.077 0.333
S 0.806 0.577 0.833
S 0.860 0.351 0.783
S 0.872 0.918 0.500
O 0.004 0.100 0.928
O 0.082 0.651 0.527
O 0.110 0.717 0.074
O 0.137 0.417 0.577
O 0.138 0.525 0.170
O 0.164 0.966 0.865
O 0.174 0.085 0.255
O 0.201 0.338 0.155
O 0.210 0.160 0.814
O 0.290 0.660 0.314
O 0.299 0.838 0.655
O 0.326 0.585 0.755
O 0.336 0.466 0.365
O 0.362 0.025 0.670
O 0.363 0.917 0.077
O 0.390 0.217 0.574
O 0.418 0.151 0.027
O 0.496 0.600 0.428
O 0.504 0.400 0.928
O 0.582 0.849 0.527
O 0.610 0.783 0.074
O 0.637 0.083 0.577
O 0.638 0.975 0.170
O 0.664 0.534 0.865
O 0.674 0.415 0.255
O 0.701 0.162 0.155
O 0.710 0.340 0.814
O 0.790 0.840 0.314
O 0.799 0.662 0.655
O 0.826 0.915 0.755
O 0.836 0.034 0.365
O 0.862 0.475 0.670
O 0.863 0.583 0.077
O 0.890 0.283 0.574
O 0.918 0.349 0.027
O 0.996 0.900 0.428


Record 6
A plane-wave DFT calculation with meta-GGA r2SCAN was carried out for crystalline Y2RuRh at its relaxed geometry.

Its total magnetization is 0.00 μB per formula unit. For the formation energy, the calculation gives -2.45 eV/f.u.

Lattice parameters (Å, degrees): 4.812 4.812 4.812 60.00 60.00 60.00
Sites, in units of the cell vectors:
Y 0.250 0.250 0.250
Y 0.750 0.750 0.750
Ru 0.000 0.000 0.000
Rh 0.500 0.500 0.500


Record 7
A plane-wave DFT calculation with meta-GGA r2SCAN was carried out for crystalline LiTa3O8 at its relaxed geometry.

Its total magnetization is 0.00 μB per formula unit. For the formation energy, the calculation gives -36.53 eV/f.u.

Lattice parameters (Å, degrees): 7.465 7.465 5.047 90.57 90.57 101.66
Sites, in units of the cell vectors:
Li 0.156 0.844 0.750
Li 0.844 0.156 0.250
Ta 0.154 0.327 0.746
Ta 0.327 0.154 0.246
Ta 0.330 0.670 0.250
Ta 0.670 0.330 0.750
Ta 0.673 0.846 0.754
Ta 0.846 0.673 0.254
O 0.081 0.687 0.397
O 0.096 0.195 0.065
O 0.195 0.096 0.565
O 0.205 0.562 0.924
O 0.304 0.431 0.418
O 0.313 0.919 0.103
O 0.431 0.304 0.918
O 0.438 0.795 0.576
O 0.562 0.205 0.424
O 0.569 0.696 0.082
O 0.687 0.081 0.897
O 0.696 0.569 0.582
O 0.795 0.438 0.076
O 0.805 0.904 0.435
O 0.904 0.805 0.935
O 0.919 0.313 0.603


Record 8
A plane-wave DFT calculation with meta-GGA r2SCAN was carried out for crystalline SmYCu4 at its relaxed geometry.

Its total magnetization is 0.00 μB per formula unit. For the formation energy, the calculation gives -1.41 eV/f.u.

Lattice parameters (Å, degrees): 5.460 5.460 5.460 133.77 101.36 96.39
Sites, in units of the cell vectors:
Sm 0.000 0.000 0.000
Y 0.582 0.082 0.500
Cu 0.009 0.709 0.301
Cu 0.180 0.377 0.803
Cu 0.408 0.709 0.699
Cu 0.574 0.377 0.197